Computed, not measured: LiMnPO4 after structural relaxation at the PBE with a Hubbard U level of DFT.

a = 5.0585 Å, b = 8.6511 Å, c = 8.8679 Å
α = 98.50°, β = 91.25°, γ = 105.05°
Space group P1 (No. 1)
Unique sites:
Li  0.0000  0.0000  0.0000 x1
Li  0.1863  0.4998  0.8135 x1
Li  0.5000  0.9999  0.5000 x1
Li  0.6862  0.4998  0.3139 x1
Mn  0.0730  0.2544  0.4366 x1
Mn  0.3787  0.7553  0.1318 x1
Mn  0.5743  0.2554  0.9374 x1
Mn  0.8771  0.7549  0.6321 x1
P  0.1354  0.3775  0.1218 x1
P  0.4358  0.8774  0.8202 x1
P  0.6348  0.3771  0.6219 x1
P  0.9363  0.8772  0.3203 x1
O  0.0399  0.8519  0.1568 x1
O  0.1347  0.0234  0.4255 x1
O  0.1485  0.9102  0.8068 x1
O  0.2386  0.2234  0.0758 x1
O  0.3921  0.5239  0.1684 x1
O  0.4183  0.7232  0.8948 x1
O  0.4417  0.3519  0.7554 x1
O  0.4706  0.4099  0.4849 x1
O  0.5393  0.8523  0.6567 x1
O  0.6340  0.0236  0.9256 x1
O  0.6494  0.9105  0.3066 x1
O  0.7385  0.2232  0.5756 x1
O  0.8915  0.5236  0.6682 x1
O  0.9180  0.7232  0.3952 x1
O  0.9415  0.3521  0.2551 x1
O  0.9716  0.4104  0.9848 x1

Output
Formation enthalpy at 0 K ... -2.6181 eV per atom
Uncorrected energy ... -7.17 eV per atom
E (MP2020) ... -7.800 eV per atom
Offset from the most stable computed form ... 0.36 kcal/mol of atoms

Computed, not measured: Li3Mn2P4O14 after structural relaxation at the PBE with a Hubbard U level of DFT.

a = 9.8470 Å, b = 9.8922 Å, c = 11.3877 Å
α = 89.96°, β = 77.20°, γ = 89.95°
Space group P1 (No. 1)
Unique sites:
Li  0.0000  0.0000  0.0000 x1
Li  0.0254  0.3882  0.5802 x1
Li  0.0742  0.6844  0.4907 x1
Li  0.2603  0.2042  0.0710 x1
Li  0.2951  0.9009  0.4796 x1
Li  0.3261  0.5091  0.0557 x1
Li  0.5005  0.7235  0.0003 x1
Li  0.5255  0.3358  0.5808 x1
Li  0.5732  0.0405  0.4916 x1
Li  0.7595  0.5204  0.0706 x1
Li  0.7948  0.8237  0.4801 x1
Li  0.8267  0.2156  0.0562 x1
Mn  0.1170  0.1843  0.3612 x1
Mn  0.1552  0.3995  0.8523 x1
Mn  0.1728  0.8939  0.1979 x1
Mn  0.2049  0.6921  0.7097 x1
Mn  0.6169  0.5396  0.3616 x1
Mn  0.6552  0.3250  0.8525 x1
Mn  0.6730  0.8297  0.1982 x1
Mn  0.7048  0.0326  0.7099 x1
P  0.0314  0.9629  0.6027 x1
P  0.0323  0.4032  0.1372 x1
P  0.2889  0.4618  0.4513 x1
P  0.2957  0.9066  0.9150 x1
P  0.3547  0.6820  0.2720 x1
P  0.3893  0.1640  0.7823 x1
P  0.4396  0.0630  0.2684 x1
P  0.4726  0.5426  0.7869 x1
P  0.5315  0.7617  0.6028 x1
P  0.5325  0.3211  0.1371 x1
P  0.7890  0.2623  0.4512 x1
P  0.7954  0.8175  0.9151 x1
P  0.8546  0.0419  0.2720 x1
P  0.8892  0.5603  0.7823 x1
P  0.9392  0.6611  0.2686 x1
P  0.9726  0.1817  0.7868 x1
O  0.0020  0.0260  0.2976 x1
O  0.0136  0.5157  0.2443 x1
O  0.0190  0.7611  0.1768 x1
O  0.0341  0.0406  0.7265 x1
O  0.0408  0.5691  0.8106 x1
O  0.0702  0.2970  0.7275 x1
O  0.0916  0.2799  0.1898 x1
O  0.0924  0.8212  0.6146 x1
O  0.1274  0.0366  0.4998 x1
O  0.1427  0.4583  0.0280 x1
O  0.1923  0.5482  0.5470 x1
O  0.1918  0.9769  0.0228 x1
O  0.2220  0.3255  0.4392 x1
O  0.2286  0.7900  0.8617 x1
O  0.2515  0.7892  0.3399 x1
O  0.2869  0.0782  0.2459 x1
O  0.2968  0.5363  0.3232 x1
O  0.2999  0.2579  0.8793 x1
O  0.3224  0.0172  0.8051 x1
O  0.3261  0.5262  0.7598 x1
O  0.3496  0.6800  0.1404 x1
O  0.3779  0.7717  0.5934 x1
O  0.3928  0.3384  0.1051 x1
O  0.3942  0.1991  0.6539 x1
O  0.4316  0.8795  0.9479 x1
O  0.4378  0.0289  0.3980 x1
O  0.4403  0.4524  0.4667 x1
O  0.4759  0.5531  0.9184 x1
O  0.5023  0.6972  0.2973 x1
O  0.5138  0.2084  0.2442 x1
O  0.5199  0.9629  0.1769 x1
O  0.5339  0.6836  0.7265 x1
O  0.5408  0.1554  0.8108 x1
O  0.5701  0.4272  0.7274 x1
O  0.5917  0.4443  0.1897 x1
O  0.5932  0.9030  0.6147 x1
O  0.6272  0.6877  0.4999 x1
O  0.6431  0.2657  0.0281 x1
O  0.6917  0.1766  0.5470 x1
O  0.6917  0.7473  0.0231 x1
O  0.7230  0.3992  0.4389 x1
O  0.7284  0.9343  0.8618 x1
O  0.7510  0.9349  0.3395 x1
O  0.7863  0.6457  0.2466 x1
O  0.7967  0.1877  0.3233 x1
O  0.8002  0.4664  0.8795 x1
O  0.8219  0.7070  0.8053 x1
O  0.8263  0.1984  0.7594 x1
O  0.8500  0.0445  0.1403 x1
O  0.8777  0.9535  0.5934 x1
O  0.8924  0.3862  0.1055 x1
O  0.8940  0.5251  0.6540 x1
O  0.9314  0.8442  0.9480 x1
O  0.9377  0.6954  0.3981 x1
O  0.9402  0.2710  0.4669 x1
O  0.9754  0.1708  0.9184 x1

Output
Formation enthalpy at 0 K ... -2.5901 eV per atom
Uncorrected energy ... -7.03 eV per atom
E (MP2020) ... -7.589 eV per atom
Offset from the most stable computed form ... 0.61 kcal/mol of atoms

Computed, not measured: LiMn2P2O8 after structural relaxation at the PBE with a Hubbard U level of DFT.

a = 5.0868 Å, b = 7.2278 Å, c = 9.7138 Å
α = 90.08°, β = 94.28°, γ = 90.08°
Space group P1 (No. 1)
Unique sites:
Li  0.0000  0.0000  0.0000 x1
Li  0.0008  0.4638  0.5003 x1
Mn  0.5433  0.5224  0.7203 x1
Mn  0.5431  0.9417  0.2205 x1
Mn  0.9873  0.5035  0.0301 x1
Mn  0.9891  0.9597  0.5293 x1
P  0.0021  0.2566  0.7641 x1
P  0.0026  0.2072  0.2642 x1
P  0.4639  0.7476  0.9275 x1
P  0.4655  0.7161  0.4275 x1
O  0.0359  0.2606  0.9234 x1
O  0.0367  0.2033  0.4236 x1
O  0.0717  0.0615  0.7190 x1
O  0.0732  0.4022  0.2194 x1
O  0.1562  0.0449  0.2001 x1
O  0.1573  0.4184  0.7005 x1
O  0.1815  0.7450  0.9735 x1
O  0.1830  0.7176  0.4735 x1
O  0.4756  0.7828  0.7696 x1
O  0.4778  0.6804  0.2696 x1
O  0.5923  0.5461  0.9331 x1
O  0.5924  0.9184  0.4331 x1
O  0.6327  0.8823  0.0227 x1
O  0.6356  0.5831  0.5230 x1
O  0.7045  0.1748  0.2114 x1
O  0.7043  0.2894  0.7112 x1

Output
Formation enthalpy at 0 K ... -2.4977 eV per atom
Uncorrected energy ... -7.25 eV per atom
E (MP2020) ... -7.932 eV per atom
Offset from the most stable computed form ... 0.93 kcal/mol of atoms

Computed, not measured: LiMnP2O7 after structural relaxation at the PBE with a Hubbard U level of DFT.

a = 6.9784 Å, b = 8.1984 Å, c = 9.2273 Å
α = 90.00°, β = 110.41°, γ = 90.00°
Space group P2_1/c (No. 14)
Unique sites:
Li  0.2005  0.0576  0.3340 x4
Mn  0.2537  0.0699  0.8700 x4
P  0.0403  0.7372  0.9708 x4
P  0.4305  0.7381  0.2528 x4
O  0.0146  0.0990  0.6456 x4
O  0.0744  0.5992  0.4012 x4
O  0.1228  0.2439  0.9521 x4
O  0.2470  0.6770  0.1002 x4
O  0.3810  0.6084  0.8169 x4
O  0.3829  0.2464  0.3019 x4
O  0.4609  0.5885  0.3642 x4

Output
Formation enthalpy at 0 K ... -2.5465 eV per atom
Uncorrected energy ... -7.10 eV per atom
E (MP2020) ... -7.686 eV per atom
Offset from the most stable computed form ... 0.44 kcal/mol of atoms